Na9Ta10Zn2Si9P9O72: optimized geometry, PBE-GGA.

The structure in extended XYZ format:
```
111
Lattice="-4.980 3.582 -6.394 -2.488 -7.635 3.753 -11.810 11.562 15.675" Properties=species:S:1:pos:R:3 pbc="T T T"
O -11.302 9.150 14.800
O -10.280 1.012 7.180
O -8.281 2.961 7.251
O -3.463 -0.327 -1.369
O -15.870 7.839 14.498
O -11.581 6.159 11.754
O -6.590 -2.305 5.203
Si -15.594 7.728 12.898
O -13.662 12.124 7.386
O -2.955 0.857 3.522
O -11.982 5.718 7.905
Zn -12.165 7.720 7.798
O -7.986 7.343 8.123
O -9.787 0.354 2.517
Ta -15.702 11.145 12.317
O -10.258 8.246 7.340
O -7.553 1.366 1.489
O -4.617 4.044 3.618
Si -7.516 3.132 5.828
O -15.091 5.996 16.448
O -15.368 9.230 12.298
O -10.915 3.498 8.196
Ta -3.544 -3.669 0.670
Ta -6.999 -0.257 5.296
P -6.840 -3.697 5.858
Ta -11.634 0.059 2.981
Na -11.242 3.785 10.779
O -3.196 -3.584 2.674
O -5.108 -0.046 4.652
Na -8.374 -1.866 11.563
P -3.711 -0.212 0.163
Na -19.262 7.503 13.017
O -5.582 3.309 1.477
O -13.508 8.254 15.948
O -14.205 6.876 12.668
O -12.008 8.020 9.789
Si -11.999 7.854 15.494
O -5.857 -0.736 -2.921
O -8.884 -0.701 5.652
O -8.457 3.997 4.813
O -12.897 7.805 5.776
O -13.120 3.627 6.963
O -10.403 1.791 13.852
Si -8.260 0.050 2.021
O -7.937 -1.643 -1.816
O -5.543 -4.541 5.611
O -6.504 -0.201 7.147
Na -6.094 5.058 -0.150
P -10.639 3.230 14.441
O -7.734 3.541 -0.274
O -5.533 -3.875 1.147
O -16.848 7.015 12.171
O -7.333 0.838 -1.556
O -6.109 3.889 6.054
O -9.466 7.124 10.570
O -11.209 6.797 4.108
P -11.769 4.394 7.234
O -8.908 5.772 -0.833
O -8.716 3.393 9.954
O -14.110 4.651 14.369
O -11.312 0.202 4.905
O -10.536 4.223 3.092
O -13.643 4.293 11.578
O -3.859 -1.649 0.771
Ta -9.797 5.366 4.490
O -12.716 9.892 7.798
O -10.658 1.348 9.973
O -11.525 3.994 13.389
O -8.601 6.122 3.149
P -12.503 7.635 4.328
O -14.598 3.506 9.404
O -14.353 7.610 8.267
P -8.904 7.779 6.899
P -14.889 3.608 10.950
O -11.030 4.520 5.862
O -13.824 11.418 11.859
Na -5.693 1.408 2.813
Ta -9.453 2.116 8.516
Ta -10.150 9.891 13.392
O -2.418 0.440 0.782
O -12.230 9.043 3.645
O -5.263 3.825 -3.834
O -7.386 -0.542 3.314
Ta -6.691 5.249 -4.091
O -7.055 -1.575 9.396
O -10.868 8.703 12.077
Ta -7.643 7.453 10.117
O -4.205 1.606 -3.350
O -8.160 0.777 8.976
Na -13.860 9.377 10.029
Si -14.867 4.516 15.810
O -16.098 11.038 10.414
Na -8.113 3.602 2.102
P -7.301 -0.360 -2.471
Si -10.378 -0.248 6.159
O -7.291 1.645 5.141
Zn -6.432 1.930 -0.159
O -5.098 3.036 -1.402
O -12.031 6.577 14.462
Na -5.223 -2.001 3.004
Ta -12.941 5.514 13.090
O -8.393 -1.280 1.018
O -8.955 6.562 5.924
Si -8.645 4.240 -1.366
Si -11.060 7.522 10.943
O -4.959 0.569 0.524
Na -14.659 9.385 6.735
O -13.966 3.658 16.862
Si -6.814 -0.109 8.760
O -16.384 6.655 9.379
P -4.417 3.026 -2.755
```

space-group type: P1 (1)
crystal system: triclinic
uncorrected energy: -7.842 eV/atom



Na3Zr2Ta2Si3P3O24: optimized geometry, PBE-GGA.

The structure in extended XYZ format:
```
111
Lattice="8.957 0.028 0.000 -4.455 7.721 -0.002 0.000 -0.006 22.967" Properties=species:S:1:pos:R:3 pbc="T T T"
O 3.794 4.092 12.154
O 7.811 1.301 13.491
O 7.305 0.266 1.942
P -1.292 7.411 21.012
O 5.096 4.022 17.048
O 2.859 2.723 9.780
O 3.466 1.245 5.686
O -0.637 6.714 19.790
O 1.681 4.900 13.333
O 5.153 6.245 18.521
O 1.806 5.430 22.448
O 0.702 3.657 17.462
O 3.834 1.160 14.702
Zr 4.486 2.580 4.325
O -0.605 1.409 20.793
O -1.096 6.556 22.265
Na 4.492 2.597 19.135
Zr 0.001 0.010 3.322
O -1.071 6.432 5.886
O 7.362 0.229 18.470
Si 1.899 7.708 17.188
Si -3.134 5.454 17.244
O 2.839 2.414 17.053
O 0.668 1.647 15.990
Ta 4.519 2.626 22.429
O -1.669 5.392 10.824
Ta 4.491 2.567 15.854
P 5.756 0.374 1.874
O -2.766 7.538 4.518
O 0.656 6.771 8.324
O 5.183 1.015 3.146
O 3.821 6.196 13.487
O -1.050 3.817 13.317
O 6.048 2.713 21.233
Zr -0.038 5.177 11.926
Na -4.330 7.718 11.493
Si 5.827 4.829 1.927
O 1.124 3.746 8.345
O -0.637 3.528 22.344
Si -2.618 5.136 9.528
Na 0.016 5.156 3.826
Si -1.273 2.874 21.018
O 0.742 6.666 1.774
O 1.111 3.879 1.761
O -1.787 4.861 8.168
O -0.709 3.653 5.870
O 5.026 6.261 1.938
O 1.556 0.260 13.444
O 1.606 4.969 19.803
O 0.723 1.467 9.357
O 3.546 3.804 21.217
Na 1.675 7.443 13.426
Na 2.852 5.429 1.871
O -1.535 4.992 1.820
Si 2.608 5.163 21.077
O 3.957 4.072 5.705
Ta 4.443 7.698 19.585
Na 0.047 0.068 22.923
O 5.398 1.334 17.055
Ta 4.473 7.707 8.153
O 5.151 1.214 9.806
O 2.954 7.666 9.343
O 2.736 7.497 15.821
P 1.301 2.240 17.257
O -3.552 6.488 9.353
P 2.562 0.013 5.781
Na -0.051 5.122 15.338
O 1.559 5.320 5.836
O 2.848 2.413 0.618
Ta 4.468 2.590 10.983
P -1.270 2.225 5.768
Zr -0.048 5.133 0.391
O -0.499 6.671 13.339
O 0.933 6.426 17.481
Na 4.452 2.535 7.671
O 0.680 3.494 10.831
O -1.530 5.270 17.470
O 6.107 2.765 14.677
P 1.319 2.874 9.585
O 3.482 6.355 4.357
Na 6.135 4.913 5.781
O 8.043 1.397 7.007
Zr 0.071 5.184 7.269
O 3.576 1.301 12.105
O 6.091 2.462 12.170
O 3.859 6.320 6.987
O -3.345 6.371 15.923
Zr -4.373 7.687 14.876
O 1.030 1.343 1.960
Ta 0.019 5.146 18.688
O -1.001 3.862 19.747
O 1.164 6.546 10.965
P 1.932 2.576 1.859
O 6.137 2.361 5.703
O -0.699 1.578 4.498
Si 3.166 0.389 13.401
Si 3.155 5.505 5.714
O 3.613 6.443 20.806
O 5.128 4.012 0.641
P 7.009 2.616 13.412
O 1.648 0.178 7.019
Si 1.345 7.438 9.619
P 3.214 4.772 13.414
O 5.397 1.230 0.631
O 3.828 1.076 21.201
O 5.503 3.983 3.284
O 1.051 1.347 18.475
O 5.329 3.908 9.816
O 2.803 2.772 3.124
O -2.807 7.591 20.785
O 3.574 3.936 14.665
```

space-group type: P1 (1)
crystal system: triclinic
uncorrected energy: -8.000 eV/atom



NaZrTaSiP2O12: optimized geometry, PBE-GGA.

The structure in extended XYZ format:
```
108
Lattice="-8.800 1.209 -0.423 3.666 -3.465 7.309 2.498 21.256 8.799" Properties=species:S:1:pos:R:3 pbc="T T T"
O -7.024 2.827 0.676
O 2.555 0.995 8.752
O -2.193 13.685 6.359
O -2.665 2.316 3.635
Si -1.874 1.077 2.985
O -2.848 10.240 8.257
Zr -4.127 3.616 3.835
O 0.218 18.881 13.373
O 1.494 9.659 11.254
P -5.514 2.420 0.799
O -0.336 5.300 9.316
Zr -0.443 -1.443 4.861
O -5.118 17.983 6.920
O -7.187 7.014 3.583
Na 2.496 21.205 8.819
O -1.077 0.361 4.194
O -0.440 7.716 10.118
O -5.468 0.888 1.160
O 1.381 -0.479 5.382
O -5.685 5.098 4.049
O 2.809 18.733 9.356
O -2.967 5.204 3.038
O -1.346 3.691 7.151
O -4.698 8.347 6.999
O 0.219 8.289 4.892
O -1.112 15.269 8.608
Zr -2.983 14.258 8.229
O -3.641 15.556 12.533
O -5.330 0.312 6.277
O -0.807 1.637 1.858
P -0.720 13.346 13.568
Zr -4.254 5.274 9.987
Si -5.746 12.408 7.138
Si 3.319 18.237 10.798
P 0.407 15.282 8.595
O 2.079 5.650 7.789
O 0.176 8.804 7.438
O -0.122 12.678 5.347
O -3.549 2.181 7.466
O 1.055 2.965 8.187
O 2.749 19.250 11.901
O 2.364 7.787 9.137
O 2.795 18.071 14.612
Si 4.464 13.481 11.803
P -0.898 6.296 10.395
Ta -3.458 9.844 6.360
O -1.620 19.764 8.932
Na -2.586 17.322 9.500
O 0.887 16.704 8.310
O 0.265 13.873 12.488
Ta 1.598 13.730 5.682
Na -0.098 1.606 6.172
P 2.826 16.584 14.913
O 0.901 4.039 5.658
P -2.158 11.047 9.408
O -2.157 12.539 9.085
O 0.939 14.833 9.999
O -4.019 9.294 4.477
P -0.728 17.933 12.646
O -0.956 6.611 2.781
O -4.887 11.139 6.498
Ta -2.186 20.469 10.761
Ta 1.593 15.365 11.862
O -6.512 13.220 5.923
O -3.553 4.745 8.198
O 2.121 15.762 13.773
O -3.834 19.436 10.428
O 4.534 11.870 12.193
O -5.462 2.194 4.587
O 0.982 14.290 7.524
P 3.085 6.610 8.490
O -0.711 10.608 9.621
O -3.510 4.236 5.664
O -1.778 17.474 13.665
Na 1.194 12.228 10.573
O -2.180 11.236 5.657
P 1.756 2.207 9.348
P 1.664 4.310 4.316
O -1.757 12.387 12.884
O 1.984 10.740 8.681
O -5.340 -0.217 3.798
O -1.460 18.701 11.494
O -2.428 6.270 10.433
O 4.281 16.148 15.095
Zr 0.827 9.182 9.261
O 0.947 3.495 3.183
P -5.893 0.761 4.889
O -3.580 15.045 10.000
O -0.447 6.346 6.687
O 3.871 5.898 9.598
P -1.690 12.694 5.322
Ta 0.243 4.751 7.457
Ta -8.421 4.307 0.862
O -2.979 0.077 2.250
O -4.716 13.397 7.875
O -2.125 8.402 6.171
Na -3.803 6.690 5.102
Na 1.235 10.579 4.419
Si -3.011 3.708 7.105
Si -0.539 7.967 6.273
O -3.593 16.089 7.348
O -2.950 10.785 10.731
O -4.862 3.252 1.891
O 2.756 16.706 11.180
O 0.044 16.729 12.031
Zr -2.994 15.901 14.387
O -1.141 -0.778 6.788
O 2.859 13.912 11.692
```

space-group type: Cc (9)
crystal system: monoclinic
uncorrected energy: -8.085 eV/atom



Na3Ti2Si2PO12: optimized geometry, PBE-GGA.

The structure in extended XYZ format:
```
120
Lattice="8.878 0.006 -0.006 -4.434 7.691 0.006 -0.015 0.008 22.290" Properties=species:S:1:pos:R:3 pbc="T T T"
O -0.573 6.568 12.844
Ti 4.481 2.593 10.738
O 0.684 6.611 1.697
Na 5.626 0.013 5.568
Na 2.803 0.252 9.285
O 3.791 6.313 13.164
O 5.500 3.841 3.153
Ti 0.039 5.157 18.172
O -1.575 5.388 10.559
O 1.682 5.378 21.705
O 5.484 1.269 0.638
O 1.042 3.833 8.072
Ti 4.432 2.524 21.883
O -0.645 3.742 5.736
O 3.868 6.145 6.870
O 3.495 1.239 5.409
O 5.111 4.055 16.554
Si 3.117 0.330 12.988
Na 4.451 2.569 7.430
O -3.483 6.464 9.136
Na 7.238 2.823 16.713
O -1.621 4.891 7.965
O 2.801 2.774 9.416
Ti -0.047 0.092 18.993
Na -1.180 2.562 1.870
O 7.876 1.324 13.127
O 2.867 2.823 3.125
Si 1.282 7.393 9.277
O -0.947 3.804 12.842
O 6.080 2.317 11.783
P 6.992 2.606 13.017
O -0.603 1.524 4.248
O 2.904 2.349 16.556
O 5.943 2.808 20.606
Na 0.010 5.118 3.719
O -1.641 5.339 16.850
Si 1.867 2.539 1.849
O 4.999 6.268 2.033
Si 1.274 2.266 16.705
Na 1.184 2.577 13.002
P 5.691 0.335 1.872
O 3.394 1.301 11.695
O 3.402 6.428 4.267
O -1.017 6.371 21.704
O 0.571 1.541 15.412
Ti 4.440 7.651 14.455
O 0.675 1.485 9.125
O 3.425 3.807 14.271
O 0.873 6.388 16.881
Ti 4.403 2.654 4.131
O 3.833 4.095 11.676
P 2.550 5.170 20.451
Si 3.126 5.456 5.560
O 6.124 2.813 14.271
Na 0.009 5.133 14.864
P 1.249 2.900 9.306
O 7.867 1.242 6.837
O 5.981 2.357 5.413
O 7.243 0.210 1.982
O 3.783 1.186 20.592
O 5.071 6.118 17.988
Si -2.575 5.104 9.283
O -0.582 3.583 21.732
Na -4.418 7.689 0.008
Ti -0.087 5.117 0.420
Si 5.724 4.828 1.843
O 3.434 3.888 20.561
O 1.508 0.238 13.178
O 0.579 6.668 7.984
O 0.635 3.547 10.560
O -0.609 6.659 19.110
O -1.524 4.905 1.699
Si 3.171 4.815 12.994
O 3.489 6.374 20.270
O -3.400 6.398 15.506
Na 4.438 2.562 18.575
P 2.556 0.035 5.589
O 5.315 3.824 9.447
O 0.880 1.253 2.019
O 1.638 4.882 19.217
Ti 4.340 2.561 15.276
Si -1.325 2.894 20.422
Na 1.619 2.316 20.443
Ti 4.348 7.688 7.848
Si -1.271 7.380 20.428
Na -4.432 7.683 11.153
Na 5.619 5.148 20.430
Na -1.187 7.697 16.732
Na 2.811 5.379 1.857
Na -2.808 4.872 5.587
O 1.688 0.243 6.843
O 0.549 3.706 16.895
O -2.789 7.438 4.361
O 1.539 4.921 12.847
Na 3.255 5.132 9.298
O -1.048 3.866 19.129
O 1.049 1.279 18.015
Ti -0.039 5.218 11.565
Ti 0.004 5.080 7.027
O 2.821 2.326 0.531
O 5.386 1.343 16.558
O -2.903 7.486 20.281
O 5.077 0.983 3.126
O 0.959 3.899 1.702
O 5.021 4.103 0.550
O 2.815 7.461 15.393
O 2.912 7.475 9.127
O 1.058 6.405 10.587
Si -1.265 2.245 5.566
O -0.993 6.445 5.705
Si 1.860 7.674 16.711
O 4.991 1.142 9.461
Na 1.628 7.442 13.015
O 1.516 5.364 5.750
O -0.581 1.442 20.272
Ti 0.046 0.022 3.310
O 3.869 4.004 5.411
O 7.294 0.267 17.982
O 3.860 1.018 14.298
P 5.684 5.470 16.734
```

uncorrected energy: -7.374 eV/atom